A plane-wave DFT calculation with GGA-PBE was carried out for an optimized crystal structure of Pm2AlIn.

Cell and atoms, written as POSCAR:
```
Pm2AlIn
1.0
0.000 3.851 3.851
3.851 0.000 3.851
3.851 3.851 0.000
Pm Al In
2 1 1
Cartesian
1.926 1.926 1.926
5.777 5.777 5.777
3.851 3.851 3.851
0.000 0.000 0.000
```

Results
SG = Fm-3m


A plane-wave DFT calculation with GGA-PBE was carried out for an optimized crystal structure of AlInS3.

Cell and atoms, written as POSCAR:
```
AlInS3
1.0
3.417 -5.918 0.000
3.417 5.918 0.000
0.000 0.000 18.089
In Al S
6 6 18
Cartesian
2.308 3.954 8.296
5.687 1.942 2.266
2.255 0.022 14.326
4.578 -0.022 5.281
1.147 -1.942 11.311
4.525 -3.954 17.341
4.459 -3.962 5.795
5.661 1.880 8.810
2.375 3.962 14.840
4.619 -0.076 11.825
2.215 0.076 2.781
1.173 -1.880 17.855
5.820 1.731 11.104
2.421 3.735 5.602
4.438 0.191 7.963
2.389 0.229 11.632
1.393 -1.954 8.617
4.445 -0.229 2.587
4.413 -3.735 14.647
2.395 -0.191 17.007
2.424 4.174 17.133
5.441 1.954 17.661
2.006 0.012 5.074
4.827 -0.012 14.118
4.409 -4.174 8.089
1.363 1.979 1.933
2.384 -3.748 4.948
4.449 3.748 13.992
1.014 -1.731 2.059
5.471 -1.979 10.977
```

Results
SG = P6_1
Maximum piezoelectric response = 0.14 C/m²
Energy with MP2020 corrections = -147.0 eV/cell


A plane-wave DFT calculation with GGA-PBE was carried out for an optimized crystal structure of AlInSb2.

Cell and atoms, written as POSCAR:
```
AlInSb2
1.0
-1.175 4.392 -0.177
-4.173 -1.172 -1.386
-1.946 -0.274 6.090
Sb Al In
2 1 1
Cartesian
-2.538 -0.650 0.722
-2.081 1.986 4.586
0.000 0.000 0.000
-3.646 1.473 2.263
```

Results
SG = P-4m2
Energy with MP2020 corrections = -15.7 eV/cell
Energy above the most stable polymorph in this dataset = 0 meV/atom


A plane-wave DFT calculation with GGA-PBE was carried out for an optimized crystal structure of AlInSb2.

Cell and atoms, written as POSCAR:
```
AlInSb2
1.0
-3.121 -6.096 3.848
0.580 -7.648 1.698
1.010 -5.388 5.626
Al Sb In
1 2 1
Cartesian
-1.531 -19.127 11.169
-0.185 -2.307 1.347
-0.964 -12.042 7.032
-0.766 -9.573 5.590
```

Results
SG = R3m
Energy with MP2020 corrections = -15.6 eV/cell
M_tot = 0.0 Bohr magnetons per cell
Energy above the most stable polymorph in this dataset = 22 meV/atom


A plane-wave DFT calculation with GGA-PBE was carried out for an optimized crystal structure of Sr2AlIn3.

Cell and atoms, written as POSCAR:
```
Sr2AlIn3
1.0
2.508 -4.343 0.000
2.508 4.343 0.000
0.000 0.000 8.028
In Al Sr
3 1 2
Cartesian
2.508 -1.448 0.369
2.508 1.448 7.607
2.508 -1.448 3.707
2.508 1.448 4.397
0.000 0.000 5.981
0.000 0.000 2.023
```

Results
SG = P3m1


A plane-wave DFT calculation with GGA-PBE was carried out for an optimized crystal structure of Al3Ir.

Cell and atoms, written as POSCAR:
```
Al3Ir
1.0
2.150 -3.724 0.000
2.150 3.724 0.000
0.000 0.000 7.796
Ir Al
2 6
Cartesian
2.150 -1.241 5.847
2.150 1.241 1.949
2.150 -1.241 0.617
0.000 0.000 1.949
2.150 1.241 4.514
2.150 -1.241 3.281
0.000 0.000 5.847
2.150 1.241 7.179
```

Results
SG = P6_3/mmc


A plane-wave DFT calculation with GGA-PBE was carried out for an optimized crystal structure of AlIr.

Cell and atoms, written as POSCAR:
```
AlIr
1.0
-0.248 -1.655 -2.511
-0.116 -2.512 1.668
-3.005 0.234 0.143
Al Ir
1 1
Cartesian
0.000 0.000 0.000
-1.685 -1.967 -0.350
```

Results
SG = Pm-3m


A plane-wave DFT calculation with GGA-PBE was carried out for an optimized crystal structure of Al9Ir2.

Cell and atoms, written as POSCAR:
```
Al9Ir2
1.0
6.463 0.000 0.000
0.000 6.405 0.000
0.000 0.764 8.746
Al Ir
18 4
Cartesian
5.792 1.717 4.027
3.231 0.382 4.373
6.335 3.122 6.384
1.974 2.869 4.386
2.560 5.070 0.346
1.839 1.219 6.760
4.489 4.300 4.360
5.205 4.682 8.733
0.000 0.000 0.000
3.903 2.099 8.400
1.392 0.837 2.388
1.258 2.487 0.013
5.071 6.332 6.358
3.360 2.740 2.011
0.128 4.046 2.362
3.103 4.428 6.735
0.671 5.452 4.719
4.624 5.950 1.985
4.025 2.202 5.846
0.794 5.348 7.273
5.669 1.821 1.473
2.438 4.966 2.900
```

Results
SG = P2_1/c


A plane-wave DFT calculation with GGA-PBE was carried out for an optimized crystal structure of Al3Ir.

Cell and atoms, written as POSCAR:
```
Al3Ir
1.0
7.809 0.000 0.000
0.000 7.809 0.000
0.000 0.000 7.809
Ir Al
8 24
Cartesian
3.904 3.904 3.904
0.000 0.000 0.000
0.000 3.904 1.952
5.856 0.000 3.904
3.904 5.856 0.000
0.000 3.904 5.856
1.952 0.000 3.904
3.904 1.952 0.000
1.565 2.628 3.904
2.628 3.904 1.565
0.000 6.532 5.469
6.244 2.628 3.904
2.628 3.904 6.244
3.904 1.565 5.180
2.339 0.000 1.276
3.904 6.244 5.180
3.904 6.244 2.628
6.532 2.339 0.000
1.276 2.339 0.000
5.180 3.904 1.565
1.565 5.180 3.904
3.904 1.565 2.628
0.000 1.276 2.339
6.244 5.180 3.904
5.469 0.000 1.276
2.339 0.000 6.532
0.000 6.532 2.339
0.000 1.276 5.469
6.532 5.469 0.000
5.469 0.000 6.532
5.180 3.904 6.244
1.276 5.469 0.000
```

Results
SG = Pm-3n
M_tot = 0.0 Bohr magnetons per cell


A plane-wave DFT calculation with GGA-PBE was carried out for an optimized crystal structure of La2Al9Ir3.

Cell and atoms, written as POSCAR:
```
La2Al9Ir3
1.0
2.429 6.851 2.399
-7.485 -1.139 -1.128
-0.946 -2.882 9.188
La Al Ir
4 18 6
Cartesian
0.065 0.099 7.679
-2.828 5.343 3.932
-3.174 -2.512 6.527
-6.068 2.732 2.779
-1.448 2.619 3.220
-2.211 0.339 5.447
-2.901 -1.582 3.564
-5.104 2.804 7.995
0.710 2.082 1.461
-3.792 2.492 5.012
-0.899 0.027 2.463
-2.596 -0.834 9.186
-3.407 3.665 1.273
-6.713 0.749 8.997
-2.519 1.854 7.964
-3.484 0.977 2.495
-3.101 4.413 6.894
-4.555 0.212 7.239
0.374 1.057 4.729
-3.438 3.388 10.163
-6.376 1.774 5.729
-2.565 -0.557 0.296
0.000 0.000 0.000
-0.473 -1.441 4.594
-4.692 0.053 4.628
-1.311 2.778 5.831
-4.219 1.494 0.034
-0.838 4.219 1.237
```

Results
SG = Cmcm


A plane-wave DFT calculation with GGA-PBE was carried out for an optimized crystal structure of LiAl2Ir.

Cell and atoms, written as POSCAR:
```
LiAl2Ir
1.0
-0.977 -2.359 3.429
-3.821 0.426 1.869
-2.894 -3.131 -0.313
Li Ir Al
1 1 2
Cartesian
-3.846 -2.532 2.492
0.000 0.000 0.000
-1.923 -1.266 1.246
-5.769 -3.798 3.739
```

Results
SG = Fm-3m


A plane-wave DFT calculation with GGA-PBE was carried out for an optimized crystal structure of MnAlIr2.

Cell and atoms, written as POSCAR:
```
MnAlIr2
1.0
-0.102 1.152 2.745
-2.868 0.698 -0.400
-1.650 -5.492 2.243
Al Ir Mn
1 2 1
Cartesian
0.000 0.000 0.000
-2.733 -3.229 2.869
-1.887 -0.413 1.719
-0.825 -2.746 1.121
```

Results
SG = P4/mmm
M_tot = 4.1 Bohr magnetons per cell


A plane-wave DFT calculation with GGA-PBE was carried out for an optimized crystal structure of Nd2Al9Ir3.

Cell and atoms, written as POSCAR:
```
Nd2Al9Ir3
1.0
-3.943 6.422 1.153
2.816 -3.791 5.985
8.123 5.094 -0.595
Al Nd Ir
18 4 6
Cartesian
-0.341 2.007 4.719
4.763 6.349 3.039
6.164 4.232 4.041
7.722 5.219 6.180
4.093 3.684 2.061
2.903 4.042 4.482
2.234 1.377 3.503
5.111 6.113 5.771
4.406 0.930 1.753
4.832 3.407 6.392
1.517 -0.882 1.965
1.886 1.613 0.772
-0.726 2.506 0.362
2.164 4.318 0.150
7.338 5.718 1.823
0.833 3.494 2.501
5.480 8.607 4.578
2.590 6.795 4.789
2.194 1.799 6.578
7.005 2.598 1.538
4.802 5.926 -0.036
-0.008 5.127 5.004
4.062 2.547 -0.298
0.000 0.000 0.000
-1.719 3.062 2.743
4.654 2.116 4.097
2.343 5.609 2.445
0.592 -0.431 4.395
```

Results
SG = Cmcm


A plane-wave DFT calculation with GGA-PBE was carried out for an optimized crystal structure of AlIrO3.

Cell and atoms, written as POSCAR:
```
AlIrO3
1.0
3.664 0.000 0.000
0.000 3.664 0.000
0.000 0.000 3.664
Al O Ir
1 3 1
Cartesian
0.000 0.000 0.000
0.000 1.832 0.000
0.000 0.000 1.832
1.832 0.000 0.000
1.832 1.832 1.832
```

Results
SG = Pm-3m
Energy with MP2020 corrections = -33.4 eV/cell
M_tot = 0.0 Bohr magnetons per cell


A plane-wave DFT calculation with GGA-PBE was carried out for an optimized crystal structure of Al2IrOs.

Cell and atoms, written as POSCAR:
```
Al2IrOs
1.0
3.229 -1.239 2.496
-0.552 -3.192 2.774
1.893 -3.762 -0.673
Al Ir Os
2 1 1
Cartesian
1.142 -2.048 1.149
3.427 -6.145 3.448
2.285 -4.097 2.298
0.000 0.000 0.000
```

Results
SG = Fm-3m


A plane-wave DFT calculation with GGA-PBE was carried out for an optimized crystal structure of Pr2Al9Ir3.

Cell and atoms, written as POSCAR:
```
Pr2Al9Ir3
1.0
3.850 -6.585 0.000
3.850 6.585 0.000
0.000 0.000 9.640
Ir Al Pr
6 18 4
Cartesian
3.850 -2.249 4.820
0.000 0.000 0.000
0.000 0.000 4.820
3.850 2.249 4.820
3.850 2.249 0.000
3.850 -2.249 0.000
6.396 -2.180 5.511
5.121 0.000 0.471
6.396 2.180 8.949
1.001 0.000 2.410
1.304 2.180 0.691
2.579 0.000 9.169
1.304 -2.180 4.129
1.304 2.180 4.129
3.396 -1.359 2.410
1.304 -2.180 0.691
4.304 1.359 7.230
3.396 1.359 2.410
6.396 -2.180 8.949
5.121 0.000 4.349
6.699 0.000 7.230
6.396 2.180 5.511
4.304 -1.359 7.230
2.579 0.000 5.292
6.408 2.145 2.410
6.408 -2.145 2.410
1.292 2.145 7.230
1.292 -2.145 7.230
```

Results
SG = Cmcm


A plane-wave DFT calculation with GGA-PBE was carried out for an optimized crystal structure of Al2IrRh.

Cell and atoms, written as POSCAR:
```
Al2IrRh
1.0
-3.603 -0.507 2.224
-2.771 3.225 0.336
-3.748 -0.189 -2.026
Al Ir Rh
2 1 1
Cartesian
-2.530 0.632 0.133
-7.591 1.897 0.400
-5.061 1.264 0.267
0.000 0.000 0.000
```

Results
SG = Fm-3m


A plane-wave DFT calculation with GGA-PBE was carried out for an optimized crystal structure of Sc6Al16Ir7.

Cell and atoms, written as POSCAR:
```
Sc6Al16Ir7
1.0
0.000 6.188 6.188
6.188 0.000 6.188
6.188 6.188 0.000
Al Sc Ir
16 6 7
Cartesian
4.703 4.703 4.703
2.044 4.145 4.145
4.145 4.145 2.044
4.703 4.703 7.673
7.673 4.703 7.673
8.232 8.232 10.333
2.044 2.044 2.044
7.673 7.673 7.673
8.232 10.333 8.232
4.703 7.673 7.673
10.333 8.232 8.232
4.145 2.044 4.145
7.673 4.703 4.703
4.703 7.673 4.703
10.333 10.333 10.333
7.673 7.673 4.703
6.188 9.825 6.188
6.188 6.188 9.825
6.188 6.188 2.552
6.188 2.552 6.188
2.552 6.188 6.188
9.825 6.188 6.188
6.188 3.094 3.094
3.094 6.188 3.094
6.188 6.188 6.188
0.000 3.094 3.094
3.094 0.000 3.094
3.094 3.094 6.188
3.094 3.094 0.000
```

Results
SG = Fm-3m


A plane-wave DFT calculation with GGA-PBE was carried out for an optimized crystal structure of ScAlIr2.

Cell and atoms, written as POSCAR:
```
ScAlIr2
1.0
0.000 3.124 3.124
3.124 0.000 3.124
3.124 3.124 0.000
Sc Al Ir
1 1 2
Cartesian
0.000 0.000 0.000
3.124 3.124 3.124
1.562 1.562 1.562
4.686 4.686 4.686
```

Results
SG = Fm-3m


Summary of E_form in eV per atom
-0.40; -1.12; -0.23; -0.20; -0.38; -0.66; -0.96; -0.52; -0.57; -0.84; -0.74; -0.55; -0.85; -1.20; -0.72; -0.84; -1.03; -0.87; -1.01
(order as listed above)
Summary of E_tot in eV per atom
-4.40; -4.60; -3.82; -3.80; -2.94; -5.68; -7.25; -5.20; -5.59; -5.84; -5.30; -8.19; -5.83; -6.27; -7.60; -5.82; -6.95; -6.38; -7.95
(order as listed above)